# Pr2Fe6Co8B (PBE, relaxed)
data_Pr2Fe6Co8B
_chemical_formula_sum 'Pr8 Fe24 Co32 B4'
_space_group_name_H-M_alt 'P 42/m n m'
_space_group_IT_number 136
_space_group_name_Hall '-P 4n 2n'
_cell_length_a 8.733
_cell_length_b 8.733
_cell_length_c 11.877
_cell_angle_alpha 90.00
_cell_angle_beta 90.00
_cell_angle_gamma 90.00
loop_
_atom_site_label
_atom_site_type_symbol
_atom_site_fract_x
_atom_site_fract_y
_atom_site_fract_z
_atom_site_occupancy
Pr1 Pr 0.143 0.143 0.000 1
Pr2 Pr 0.231 0.231 0.500 1
Fe1 Fe 0.000 0.000 0.384 1
Fe2 Fe 0.000 0.500 0.000 1
Fe3 Fe 0.067 0.723 0.370 1
Co1 Co 0.036 0.641 0.179 1
Co2 Co 0.100 0.900 0.209 1
Co3 Co 0.182 0.182 0.251 1
B1 B 0.124 0.876 0.500 1
# Crystal system: tetragonal
# Energy of formation from the pure elements in eV per formula unit: -1.54